## La2Ge5Ir3 (r²SCAN)

Data for a geometry-optimized La2Ge5Ir3 structure.

Geometry as extended XYZ:
```
20
Lattice="-5.133 6.032 3.061 5.133 -6.032 3.061 5.133 6.032 -3.061" Properties=species:S:1:pos:R:3 pbc="T T T"
La 2.362 1.587 0.000
La 2.362 -1.587 3.061
La 2.771 7.619 0.000
La 2.771 4.444 3.061
Ge 5.133 -2.738 1.530
Ge 6.739 1.226 0.000
Ge 0.000 0.000 1.530
Ge 1.606 4.805 0.000
Ge 5.133 2.738 1.530
Ge 0.000 3.294 1.530
Ge 3.527 1.226 3.061
Ge 0.000 0.000 4.591
Ge -1.606 4.805 3.061
Ge 0.000 8.769 1.530
Ir 3.996 -4.335 3.061
Ir 5.133 0.000 1.530
Ir 3.996 4.335 0.000
Ir 1.136 1.696 3.061
Ir 0.000 6.032 1.530
Ir 1.136 10.367 0.000
```

Results
As for the symmetry: Ibam (72). Its electronic total energy is -589.00 eV/cell. The calculation puts the energy of formation at -857 meV per atom.